The following is a DFT calculation (PBE) of UGe2Pt2 after structural relaxation.

The space group is I4/mmm (No. 139) and the conventional cell measures 4.3781, 4.3781 and 9.8931 Å, with angles of 90.00, 90.00 and 90.00 degrees. Symmetry generates all atoms from U at (0.0000, 0.0000, 0.0000), Ge at (0.0000, 0.0000, 0.3775) and Pt at (0.0000, 0.5000, 0.2500).

As for the magnetic moment: 4.9 μB/cell. Its formation energy is -0.441 eV per atom.

=====

The following is a DFT calculation (PBE) of AcHgTe2 after structural relaxation.

The space group is Fm-3m (No. 225) and the conventional cell measures 8.0323, 8.0323 and 8.0323 Å, with angles of 90.00, 90.00 and 90.00 degrees. Symmetry generates all atoms from Ac at (0.0000, 0.0000, 0.0000), Hg at (0.0000, 0.0000, 0.5000) and Te at (0.2500, 0.2500, 0.2500).

Its energy with MP2020 corrections is -14.9 eV/f.u. Its formation energy is -1.041 eV per atom.

=====

The following is a DFT calculation (PBE) of ErNiC2 after structural relaxation.

The space group is Amm2 (No. 38) and the conventional cell measures 3.5371, 4.5063 and 5.9784 Å, with angles of 90.00, 90.00 and 90.00 degrees. Symmetry generates all atoms from Er at (0.0000, 0.0000, 0.0000), Ni at (0.5000, 0.0000, 0.3887) and C at (0.5000, 0.1526, 0.7002).

Its formation energy is -0.344 eV per atom.